No. 1
Below is a geometry-optimized Sr2B11HO21 structure, with properties calculated at the PBE-GGA level.

Cell lengths 21.4308, 6.6979, 6.7794 Å; angles 60.68, 90.00, 90.00 degrees
Atoms (fractional coordinates):
Sr 0.4713 0.9800 0.0714
Sr 0.9713 0.0200 0.9286
Sr 0.3632 0.3069 0.3815
Sr 0.8632 0.6931 0.6185
B 0.3310 0.8030 0.4790
B 0.8310 0.1970 0.5210
B 0.8554 0.5890 0.2093
B 0.3554 0.4110 0.7907
B 0.3344 0.9851 0.0549
B 0.8344 0.0149 0.9451
B 0.1123 0.6111 0.8039
B 0.6123 0.3889 0.1961
B 0.2038 0.3242 0.4067
B 0.7038 0.6758 0.5933
B 0.4936 0.8769 0.6602
B 0.9936 0.1231 0.3398
B 0.4986 0.5623 0.5763
B 0.9986 0.4377 0.4237
B 0.0131 0.6970 0.6055
B 0.5131 0.3030 0.3945
B 0.2353 0.9054 0.2476
B 0.7353 0.0946 0.7524
B 0.3501 0.7242 0.8738
B 0.8501 0.2758 0.1262
B 0.0148 0.5175 0.0286
B 0.5148 0.4825 0.9714
H 0.5962 0.9451 0.1476
H 0.0962 0.0549 0.8524
O 0.2629 0.8059 0.4551
O 0.7629 0.1941 0.5449
O 0.1771 0.6000 0.8121
O 0.6771 0.4000 0.1880
O 0.3615 0.9650 0.2654
O 0.8615 0.0350 0.7346
O 0.8522 0.5119 0.0531
O 0.3522 0.4881 0.9469
O 0.4926 0.5139 0.4036
O 0.9926 0.4861 0.5964
O 0.3471 0.8773 0.6485
O 0.8471 0.1227 0.3515
O 0.9858 0.8971 0.4033
O 0.4858 0.1029 0.5967
O 0.0810 0.7111 0.6024
O 0.5810 0.2889 0.3976
O 0.2673 0.0049 0.0474
O 0.7673 0.9951 0.9526
O 0.3541 0.5636 0.5638
O 0.8541 0.4364 0.4362
O 0.3561 0.7755 0.0452
O 0.8561 0.2245 0.9548
O 0.2436 0.4110 0.2255
O 0.7436 0.5890 0.7745
O 0.7477 0.7558 0.4190
O 0.2477 0.2442 0.5810
O 0.9920 0.2777 0.1123
O 0.4920 0.7223 0.8877
O 0.0834 0.5151 0.0099
O 0.5834 0.4849 0.9901
O 0.1418 0.3083 0.4354
O 0.6418 0.6917 0.5646
O 0.1707 0.9094 0.2307
O 0.6707 0.0906 0.7693
O 0.4983 0.7996 0.5034
O 0.9983 0.2004 0.4966
O 0.9992 0.5923 0.1977
O 0.4992 0.4077 0.8023
O 0.8646 0.8164 0.1427
O 0.3646 0.1836 0.8573
O 0.4859 0.3191 0.1862
O 0.9859 0.6809 0.8138

Output
The calculated total energy is -7.308 eV/atom. The energy with MP2020 corrections is -7.720 eV per atom. Its volume is 12.12 Å³/atom. The space group is P2_1, No. 4. As for the formation enthalpy at 0 K: -2.46 eV per atom.

---

No. 2
Below is a geometry-optimized TmB2HO5 structure, with properties calculated at the PBE-GGA level.

Cell lengths 5.8901, 5.8901, 11.1924 Å; angles 90.40, 90.40, 110.06 degrees
Atoms (fractional coordinates):
Tm 0.8244 0.6679 0.4476
Tm 0.3321 0.1756 0.0524
Tm 0.1756 0.3321 0.5524
Tm 0.6679 0.8244 0.9476
B 0.3680 0.1131 0.7740
B 0.8869 0.6320 0.7260
B 0.6320 0.8869 0.2260
B 0.1131 0.3680 0.2740
B 0.8512 0.6514 0.1288
B 0.3486 0.1488 0.3712
B 0.1488 0.3486 0.8712
B 0.6514 0.8512 0.6288
H 0.9890 0.6365 0.9088
H 0.3635 0.0110 0.5912
H 0.0110 0.3635 0.0912
H 0.6365 0.9890 0.4088
O 0.6588 0.4852 0.0725
O 0.5148 0.3412 0.4275
O 0.3412 0.5148 0.9275
O 0.4852 0.6588 0.5725
O 0.0104 0.8181 0.0551
O 0.1819 0.9896 0.4449
O 0.9896 0.1819 0.9449
O 0.8181 0.0104 0.5551
O 0.9651 0.5479 0.8303
O 0.4521 0.0349 0.6697
O 0.0349 0.4521 0.1697
O 0.5479 0.9651 0.3303
O 0.7849 0.7516 0.2432
O 0.2484 0.2151 0.2568
O 0.2151 0.2484 0.7568
O 0.7516 0.7849 0.7432
O 0.4415 0.0551 0.8802
O 0.9449 0.5585 0.6198
O 0.5585 0.9449 0.1198
O 0.0551 0.4415 0.3802

Output
The calculated total energy is -7.572 eV/atom. The energy with MP2020 corrections is -7.954 eV per atom. Its volume is 10.13 Å³/atom. The space group is C2/c, No. 15. As for the formation enthalpy at 0 K: -2.85 eV per atom.

---

No. 3
Below is a geometry-optimized YB6H3O12 structure, with properties calculated at the PBE-GGA level.

Cell lengths 8.4531, 8.4531, 8.4531 Å; angles 60.59, 60.59, 60.59 degrees
Atoms (fractional coordinates):
Y 0.5344 0.5344 0.5344
Y 0.0344 0.0344 0.0344
B 0.6348 0.4115 0.1565
B 0.4115 0.1565 0.6348
B 0.1565 0.6348 0.4115
B 0.1348 0.6565 0.9115
B 0.6565 0.9115 0.1348
B 0.9115 0.1348 0.6565
B 0.4473 0.7460 0.1615
B 0.7460 0.1615 0.4473
B 0.1615 0.4473 0.7460
B 0.9473 0.6615 0.2460
B 0.6615 0.2460 0.9473
B 0.2460 0.9473 0.6615
H 0.5327 0.8842 0.5321
H 0.8842 0.5321 0.5327
H 0.5321 0.5327 0.8842
H 0.0327 0.0321 0.3842
H 0.0321 0.3842 0.0327
H 0.3842 0.0327 0.0321
O 0.1973 0.5923 0.7623
O 0.5923 0.7623 0.1973
O 0.7623 0.1973 0.5923
O 0.6973 0.2623 0.0923
O 0.2623 0.0923 0.6973
O 0.0923 0.6973 0.2623
O 0.4328 0.8410 0.5517
O 0.8410 0.5517 0.4328
O 0.5517 0.4328 0.8410
O 0.9328 0.0517 0.3410
O 0.0517 0.3410 0.9328
O 0.3410 0.9328 0.0517
O 0.3186 0.6742 0.3636
O 0.6742 0.3636 0.3186
O 0.3636 0.3186 0.6742
O 0.8186 0.8636 0.1742
O 0.8636 0.1742 0.8186
O 0.1742 0.8186 0.8636
O 0.5370 0.5974 0.0696
O 0.5974 0.0696 0.5370
O 0.0696 0.5370 0.5974
O 0.0370 0.5696 0.0974
O 0.5696 0.0974 0.0370
O 0.0974 0.0370 0.5696

Output
The calculated total energy is -7.601 eV/atom. The energy with MP2020 corrections is -7.975 eV per atom. Its volume is 9.84 Å³/atom. The space group is R3c, No. 161. As for the formation enthalpy at 0 K: -2.70 eV per atom.

---

No. 4
Below is a geometry-optimized ZnB3H3O7 structure, with properties calculated at the PBE-GGA level.

Cell lengths 9.9713, 6.9405, 8.7446 Å; angles 58.85, 90.00, 90.00 degrees
Atoms (fractional coordinates):
Zn 0.2202 0.7824 0.6503
Zn 0.2798 0.7824 0.1503
Zn 0.7798 0.2176 0.3497
Zn 0.7202 0.2176 0.8497
B 0.3335 0.1115 0.2854
B 0.1665 0.1115 0.7854
B 0.6665 0.8885 0.7146
B 0.8335 0.8885 0.2146
B 0.3289 0.2345 0.5159
B 0.1711 0.2345 0.0159
B 0.6711 0.7655 0.4841
B 0.8289 0.7655 0.9841
B 0.4853 0.4166 0.2542
B 0.0147 0.4166 0.7542
B 0.5147 0.5834 0.7458
B 0.9853 0.5834 0.2458
H 0.0342 0.6915 0.4847
H 0.4658 0.6915 0.9847
H 0.9658 0.3085 0.5153
H 0.5342 0.3085 0.0153
H 0.3441 0.4363 0.7149
H 0.1559 0.4363 0.2149
H 0.6559 0.5637 0.2851
H 0.8441 0.5637 0.7851
H 0.0858 0.7841 0.8962
H 0.4142 0.7841 0.3962
H 0.9142 0.2159 0.1038
H 0.5858 0.2159 0.6038
O 0.2889 0.0825 0.4647
O 0.2111 0.0825 0.9647
O 0.7111 0.9175 0.5353
O 0.7889 0.9175 0.0353
O 0.4257 0.3893 0.4184
O 0.0743 0.3893 0.9184
O 0.5743 0.6107 0.5816
O 0.9257 0.6107 0.0816
O 0.4596 0.2297 0.2285
O 0.0404 0.2297 0.7285
O 0.5404 0.7703 0.7715
O 0.9596 0.7703 0.2715
O 0.2213 0.2288 0.1631
O 0.2787 0.2288 0.6631
O 0.7787 0.7712 0.8369
O 0.7213 0.7712 0.3369
O 0.0694 0.6385 0.6062
O 0.4306 0.6385 0.1062
O 0.9306 0.3615 0.3938
O 0.5694 0.3615 0.8938
O 0.3659 0.5567 0.7403
O 0.1341 0.5567 0.2403
O 0.6341 0.4433 0.2597
O 0.8659 0.4433 0.7597
O 0.1590 0.8777 0.8186
O 0.3410 0.8777 0.3186
O 0.8410 0.1223 0.1814
O 0.6590 0.1223 0.6814

Output
The calculated total energy is -6.584 eV/atom. The energy with MP2020 corrections is -6.928 eV per atom. Its volume is 9.25 Å³/atom. The space group is P2_1/c, No. 14. As for the formation enthalpy at 0 K: -2.21 eV per atom.

---

No. 5
Below is a geometry-optimized RbBH4 structure, with properties calculated at the PBE-GGA level.

Cell lengths 4.9977, 4.9977, 4.9977 Å; angles 60.00, 60.00, 60.00 degrees
Atoms (fractional coordinates):
Rb 0.0000 0.0000 0.0000
B 0.5000 0.5000 0.5000
H 0.3993 0.3993 0.8020
H 0.3993 0.8020 0.3993
H 0.8020 0.3993 0.3993
H 0.3993 0.3993 0.3993

Output
The calculated total energy is -3.927 eV/atom. The energy with MP2020 corrections is -4.046 eV per atom. Its volume is 14.71 Å³/atom. The space group is F-43m, No. 216. The piezoelectric modulus e_max comes out at 0.06 C/m2. As for the formation enthalpy at 0 K: -0.51 eV per atom.

---

No. 6
Below is a geometry-optimized RbB10H9 structure, with properties calculated at the PBE-GGA level.

Cell lengths 7.3009, 12.7181, 19.0672 Å; angles 90.00, 90.00, 90.00 degrees
Atoms (fractional coordinates):
Rb 0.1702 0.1266 0.4193
Rb 0.8298 0.8734 0.9193
Rb 0.3298 0.6266 0.4193
Rb 0.6702 0.3734 0.9193
Rb 0.8249 0.8661 0.5816
Rb 0.1751 0.1339 0.0816
Rb 0.6751 0.3661 0.5816
Rb 0.3249 0.6339 0.0816
B 0.4338 0.3000 0.1827
B 0.5662 0.7000 0.6827
B 0.0662 0.8000 0.1827
B 0.9338 0.2000 0.6827
B 0.6399 0.3103 0.2220
B 0.3601 0.6897 0.7220
B 0.8601 0.8103 0.2220
B 0.1399 0.1897 0.7220
B 0.6016 0.2178 0.1509
B 0.3984 0.7822 0.6509
B 0.8984 0.7178 0.1509
B 0.1016 0.2822 0.6509
B 0.5073 0.3271 0.0997
B 0.4927 0.6729 0.5997
B 0.9927 0.8271 0.0997
B 0.0073 0.1729 0.5997
B 0.5428 0.4177 0.1715
B 0.4572 0.5823 0.6715
B 0.9572 0.9177 0.1715
B 0.0428 0.0823 0.6715
B 0.8306 0.2641 0.1699
B 0.1694 0.7359 0.6699
B 0.6694 0.7641 0.1699
B 0.3306 0.2359 0.6699
B 0.7367 0.2786 0.0828
B 0.2633 0.7214 0.5828
B 0.7633 0.7786 0.0828
B 0.2367 0.2214 0.5828
B 0.6958 0.4194 0.0970
B 0.3042 0.5806 0.5970
B 0.8042 0.9194 0.0970
B 0.1958 0.0806 0.5970
B 0.7873 0.4030 0.1849
B 0.2127 0.5970 0.6849
B 0.7127 0.9030 0.1849
B 0.2873 0.0970 0.6849
B 0.9035 0.3606 0.1138
B 0.0965 0.6394 0.6138
B 0.5965 0.8606 0.1138
B 0.4035 0.1394 0.6138
B 0.6032 0.3986 0.3901
B 0.3968 0.6014 0.8901
B 0.8968 0.8986 0.3901
B 0.1032 0.1014 0.8901
B 0.6757 0.4956 0.3346
B 0.3243 0.5044 0.8346
B 0.8243 0.9956 0.3346
B 0.1757 0.0044 0.8346
B 0.7702 0.4798 0.4218
B 0.2298 0.5202 0.9218
B 0.7298 0.9798 0.4218
B 0.2702 0.0202 0.9218
B 0.8109 0.3394 0.4065
B 0.1891 0.6606 0.9065
B 0.6891 0.8394 0.4065
B 0.3109 0.1606 0.9065
B 0.7192 0.3570 0.3188
B 0.2808 0.6430 0.8188
B 0.7808 0.8570 0.3188
B 0.2192 0.1430 0.8188
B 0.9047 0.5417 0.3539
B 0.0953 0.4583 0.8539
B 0.5953 0.0417 0.3539
B 0.4047 0.9583 0.8539
B 0.9995 0.4318 0.4045
B 0.0005 0.5682 0.9045
B 0.5005 0.9318 0.4045
B 0.4995 0.0682 0.9045
B 0.9637 0.3422 0.3320
B 0.0363 0.6577 0.8320
B 0.5363 0.8422 0.3320
B 0.4637 0.1578 0.8320
B 0.8663 0.4501 0.2822
B 0.1337 0.5499 0.7822
B 0.6337 0.9501 0.2822
B 0.3663 0.0499 0.7822
B 0.0724 0.4601 0.3215
B 0.9276 0.5399 0.8215
B 0.4276 0.9601 0.3215
B 0.5724 0.0399 0.8215
H 0.6168 0.2850 0.2883
H 0.3832 0.7150 0.7883
H 0.8832 0.7850 0.2883
H 0.1168 0.2150 0.7883
H 0.8885 0.4754 0.2157
H 0.1115 0.5246 0.7157
H 0.6115 0.9754 0.2157
H 0.3885 0.0246 0.7157
H 0.2857 0.2811 0.2060
H 0.7143 0.7189 0.7060
H 0.2143 0.7811 0.2060
H 0.7857 0.2189 0.7060
H 0.5760 0.1247 0.1491
H 0.4240 0.8753 0.6491
H 0.9240 0.6247 0.1491
H 0.0760 0.3753 0.6491
H 0.3969 0.3292 0.0529
H 0.6031 0.6708 0.5529
H 0.1031 0.8292 0.0529
H 0.8969 0.1708 0.5529
H 0.4711 0.4975 0.1902
H 0.5289 0.5025 0.6902
H 0.0289 0.9975 0.1902
H 0.9711 0.0025 0.6902
H 0.9359 0.2040 0.1964
H 0.0641 0.7960 0.6964
H 0.5641 0.7040 0.1964
H 0.4359 0.2960 0.6964
H 0.7663 0.2281 0.0305
H 0.2337 0.7719 0.5305
H 0.7337 0.7281 0.0305
H 0.2663 0.2719 0.5305
H 0.6905 0.4938 0.0581
H 0.3095 0.5062 0.5581
H 0.8095 0.9938 0.0581
H 0.1905 0.0062 0.5581
H 0.0532 0.3805 0.0924
H 0.9468 0.6195 0.5924
H 0.4468 0.8805 0.0924
H 0.5532 0.1195 0.5924
H 0.4533 0.3779 0.4113
H 0.5467 0.6221 0.9113
H 0.0467 0.8779 0.4113
H 0.9533 0.1221 0.9113
H 0.5706 0.5559 0.3081
H 0.4294 0.4441 0.8081
H 0.9294 0.0559 0.3081
H 0.0706 0.9441 0.8081
H 0.7421 0.5293 0.4746
H 0.2579 0.4707 0.9746
H 0.7579 0.0293 0.4746
H 0.2421 0.9707 0.9746
H 0.8161 0.2643 0.4446
H 0.1839 0.7357 0.9446
H 0.6839 0.7643 0.4446
H 0.3161 0.2357 0.9446
H 0.9295 0.6349 0.3562
H 0.0705 0.3651 0.8562
H 0.5705 0.1349 0.3562
H 0.4295 0.8651 0.8562
H 0.1089 0.4293 0.4516
H 0.8911 0.5707 0.9516
H 0.3911 0.9293 0.4516
H 0.6089 0.0707 0.9516
H 0.0357 0.2630 0.3125
H 0.9643 0.7370 0.8125
H 0.4643 0.7630 0.3125
H 0.5357 0.2370 0.8125
H 0.2205 0.4793 0.2983
H 0.7795 0.5207 0.7983
H 0.2795 0.9793 0.2983
H 0.7205 0.0207 0.7983

Output
The calculated total energy is -5.107 eV/atom. The energy with MP2020 corrections is -5.187 eV per atom. Its volume is 11.07 Å³/atom. The space group is Pna2_1, No. 33. As for the formation enthalpy at 0 K: -0.27 eV per atom.